--- 1 ---
Xe: relaxed, meta-GGA r2SCAN.

abc: 11.319 11.319 11.319
angles: 23.16 23.16 23.16
Fractional positions:
Xe 0.000 0.000 0.000
Xe 0.222 0.222 0.222
Xe 0.778 0.778 0.778


--- 2 ---
Xe: relaxed, meta-GGA r2SCAN.

abc: 9.319 9.319 4.599
angles: 90.00 90.00 130.17
Fractional positions:
Xe 0.135 0.865 0.983
Xe 0.365 0.635 0.483
Xe 0.635 0.365 0.517
Xe 0.865 0.135 0.017


--- 3 ---
Xe: relaxed, meta-GGA r2SCAN.

abc: 4.433 4.433 4.433
angles: 109.47 109.47 109.47
Fractional positions:
Xe 0.000 0.000 0.000


Most stable structure: 1


--- 1 ---
Xe: relaxed, meta-GGA r2SCAN.

abc: 9.044 9.044 4.625
angles: 90.00 90.00 130.39
Fractional positions:
Xe 0.135 0.865 0.989
Xe 0.365 0.635 0.489
Xe 0.635 0.365 0.511
Xe 0.865 0.135 0.011


--- 2 ---
Xe: relaxed, meta-GGA r2SCAN.

abc: 4.521 4.521 14.674
angles: 90.00 90.00 120.00
Fractional positions:
Xe 0.000 0.000 0.000
Xe 0.000 0.000 0.500
Xe 0.333 0.667 0.250
Xe 0.667 0.333 0.750


--- 3 ---
Xe: relaxed, meta-GGA r2SCAN.

abc: 4.577 4.577 4.577
angles: 60.40 60.40 60.40
Fractional positions:
Xe 0.000 0.000 0.000


Most stable structure: 2


--- 1 ---
Y: relaxed, meta-GGA r2SCAN.

abc: 3.609 3.609 3.609
angles: 60.00 60.00 60.00
Fractional positions:
Y 0.000 0.000 0.000


--- 2 ---
Y: relaxed, meta-GGA r2SCAN.

abc: 8.976 8.976 8.976
angles: 23.47 23.47 23.47
Fractional positions:
Y 0.000 0.000 0.000
Y 0.221 0.221 0.221
Y 0.779 0.779 0.779


--- 3 ---
Y: relaxed, meta-GGA r2SCAN.

abc: 3.643 3.643 5.879
angles: 90.00 90.00 120.00
Fractional positions:
Y 0.333 0.667 0.250
Y 0.667 0.333 0.750


Most stable structure: 3


--- 1 ---
Yb3Zr: relaxed, meta-GGA r2SCAN.

abc: 6.890 6.890 5.410
angles: 90.00 90.00 120.00
Fractional positions:
Yb 0.169 0.338 0.250
Yb 0.169 0.831 0.250
Yb 0.338 0.169 0.750
Yb 0.662 0.831 0.250
Yb 0.831 0.169 0.750
Yb 0.831 0.662 0.750
Zr 0.333 0.667 0.750
Zr 0.667 0.333 0.250


--- 2 ---
Yb3Zr: relaxed, meta-GGA r2SCAN.

abc: 5.418 5.418 5.418
angles: 60.00 60.00 60.00
Fractional positions:
Yb 0.000 0.000 0.000
Yb 0.250 0.250 0.250
Yb 0.750 0.750 0.750
Zr 0.500 0.500 0.500


Most stable structure: 1